(1)
First-principles (GGA-PBE) data for a geometry-optimized Li9Ga3P8O29 structure, as listed in the Materials Project database.

```
data_Li9Ga3P8O29
_space_group_name_H-M_alt 'P 1'
_space_group_IT_number 1
_space_group_name_Hall 'P 1'
_cell_length_a 9.7812
_cell_length_b 9.7812
_cell_length_c 13.7460
_cell_angle_alpha 90.00
_cell_angle_beta 90.00
_cell_angle_gamma 120.00
loop_
_atom_site_label
_atom_site_type_symbol
_atom_site_fract_x
_atom_site_fract_y
_atom_site_fract_z
Li1 Li 0.2350 0.8982 0.4365
Li2 Li 0.8982 0.6631 0.5635
Li3 Li 0.1018 0.7650 0.9365
Li4 Li 0.7650 0.1018 0.5635
Li5 Li 0.3333 0.6667 0.6197
Li6 Li 0.7650 0.6631 0.0635
Li7 Li 0.2350 0.3369 0.9365
Li8 Li 0.3369 0.2350 0.5635
Li9 Li 0.6667 0.3333 0.8803
Li10 Li 0.3369 0.1018 0.0635
Li11 Li 0.0000 0.0000 0.5000
Li12 Li 0.8982 0.2350 0.0635
Li13 Li 0.6667 0.3333 0.3803
Li14 Li 0.6631 0.7650 0.4365
Li15 Li 0.6631 0.8982 0.9365
Li16 Li 0.1018 0.3369 0.4365
Li17 Li 0.3333 0.6667 0.1197
Li18 Li 0.0000 0.0000 0.0000
Ga1 Ga 0.0000 0.5651 0.7500
Ga2 Ga 0.4349 0.4349 0.7500
Ga3 Ga 0.5651 0.0000 0.7500
Ga4 Ga 0.4349 0.0000 0.2500
Ga5 Ga 0.0000 0.4349 0.2500
Ga6 Ga 0.5651 0.5651 0.2500
P1 P 0.6667 0.3333 0.1254
P2 P 0.7735 0.6819 0.8436
P3 P 0.6819 0.7735 0.6564
P4 P 0.6667 0.3333 0.6254
P5 P 0.3181 0.0916 0.8436
P6 P 0.2265 0.9084 0.6564
P7 P 0.7735 0.0916 0.3436
P8 P 0.3333 0.6667 0.3746
P9 P 0.9084 0.2265 0.8436
P10 P 0.0916 0.3181 0.6564
P11 P 0.3333 0.6667 0.8746
P12 P 0.0916 0.7735 0.1564
P13 P 0.6819 0.9084 0.1564
P14 P 0.2265 0.3181 0.1564
P15 P 0.9084 0.6819 0.3436
P16 P 0.3181 0.2265 0.3436
O1 O 0.0000 0.7866 0.2500
O2 O 0.8126 0.3243 0.1635
O3 O 0.5117 0.1874 0.1635
O4 O 0.6266 0.1096 0.3329
O5 O 0.5117 0.3243 0.6635
O6 O 0.4883 0.8126 0.8365
O7 O 0.2269 0.9995 0.9332
O8 O 0.8904 0.5171 0.3329
O9 O 0.7866 0.7866 0.7500
O10 O 0.2547 0.3315 0.6566
O11 O 0.1096 0.6266 0.1671
O12 O 0.3315 0.2547 0.8434
O13 O 0.6757 0.1874 0.6635
O14 O 0.1874 0.6757 0.8365
O15 O 0.1874 0.5117 0.3365
O16 O 0.3734 0.8904 0.6671
O17 O 0.9232 0.2547 0.3434
O18 O 0.7866 0.0000 0.2500
O19 O 0.2273 0.0005 0.5668
O20 O 0.6667 0.3333 0.5151
O21 O 0.1096 0.4829 0.6671
O22 O 0.2134 0.0000 0.7500
O23 O 0.6757 0.4883 0.1635
O24 O 0.3315 0.0768 0.3434
O25 O 0.5171 0.8904 0.1671
O26 O 0.9995 0.2269 0.5668
O27 O 0.0000 0.2134 0.7500
O28 O 0.3333 0.6667 0.4849
O29 O 0.2273 0.2269 0.0668
O30 O 0.7731 0.0005 0.0668
O31 O 0.4883 0.6757 0.3365
O32 O 0.6266 0.5171 0.8329
O33 O 0.7727 0.9995 0.4332
O34 O 0.6685 0.7453 0.1566
O35 O 0.9995 0.7727 0.0668
O36 O 0.7727 0.7731 0.9332
O37 O 0.4829 0.1096 0.8329
O38 O 0.3243 0.5117 0.8365
O39 O 0.5171 0.6266 0.6671
O40 O 0.7453 0.6685 0.3434
O41 O 0.6685 0.9232 0.6566
O42 O 0.2547 0.9232 0.1566
O43 O 0.0005 0.7731 0.4332
O44 O 0.3243 0.8126 0.3365
O45 O 0.8126 0.4883 0.6635
O46 O 0.9232 0.6685 0.8434
O47 O 0.3734 0.4829 0.1671
O48 O 0.6667 0.3333 0.0151
O49 O 0.0768 0.3315 0.1566
O50 O 0.0768 0.7453 0.6566
O51 O 0.4829 0.3734 0.3329
O52 O 0.7731 0.7727 0.5668
O53 O 0.3333 0.6667 0.9849
O54 O 0.8904 0.3734 0.8329
O55 O 0.2269 0.2273 0.4332
O56 O 0.0005 0.2273 0.9332
O57 O 0.7453 0.0768 0.8434
O58 O 0.2134 0.2134 0.2500
```

Results
raw total energy = -6.616 eV/atom
DFT formation energy = -2.67 eV per atom
symmetry = P-3c1, No. 165



(2)
First-principles (GGA-PBE) data for a geometry-optimized Rb2Li3GaO4 structure, as listed in the Materials Project database.

```
data_Rb2Li3GaO4
_space_group_name_H-M_alt 'P 1'
_space_group_IT_number 1
_space_group_name_Hall 'P 1'
_cell_length_a 8.0428
_cell_length_b 8.0428
_cell_length_c 8.0428
_cell_angle_alpha 143.87
_cell_angle_beta 103.94
_cell_angle_gamma 87.22
loop_
_atom_site_label
_atom_site_type_symbol
_atom_site_fract_x
_atom_site_fract_y
_atom_site_fract_z
Rb1 Rb 0.1281 0.2372 0.3652
Rb2 Rb 0.8719 0.7628 0.6348
Rb3 Rb 0.6281 0.2628 0.8909
Rb4 Rb 0.3719 0.7372 0.1091
Li1 Li 0.4900 0.2500 0.2400
Li2 Li 0.5100 0.7500 0.7600
Li3 Li 0.0100 0.2500 0.7600
Li4 Li 0.9900 0.7500 0.2400
Li5 Li 0.2500 0.2500 0.0000
Li6 Li 0.7500 0.7500 0.0000
Ga1 Ga 0.2500 0.7500 0.5000
Ga2 Ga 0.7500 0.2500 0.5000
O1 O 0.4476 0.5959 0.3850
O2 O 0.5524 0.4041 0.6150
O3 O 0.2110 0.0626 0.6150
O4 O 0.2890 0.9041 0.8517
O5 O 0.7890 0.9374 0.3850
O6 O 0.7110 0.0959 0.1483
O7 O 0.0524 0.4374 0.1483
O8 O 0.9476 0.5626 0.8517
```

Results
raw total energy = -4.804 eV/atom
DFT formation energy = -2.03 eV per atom
symmetry = Ibam, No. 72



(3)
First-principles (GGA-PBE) data for a geometry-optimized LiGa2Pd structure, as listed in the Materials Project database.

```
data_LiGa2Pd
_space_group_name_H-M_alt 'P 1'
_space_group_IT_number 1
_space_group_name_Hall 'P 1'
_cell_length_a 4.3801
_cell_length_b 4.3801
_cell_length_c 4.3801
_cell_angle_alpha 60.00
_cell_angle_beta 60.00
_cell_angle_gamma 60.00
loop_
_atom_site_label
_atom_site_type_symbol
_atom_site_fract_x
_atom_site_fract_y
_atom_site_fract_z
Li1 Li 0.5000 0.5000 0.5000
Ga1 Ga 0.2500 0.2500 0.2500
Ga2 Ga 0.7500 0.7500 0.7500
Pd1 Pd 0.0000 0.0000 0.0000
```

Results
raw total energy = -3.813 eV/atom
DFT formation energy = -0.53 eV per atom
symmetry = Fm-3m, No. 225



(4)
First-principles (GGA-PBE) data for a geometry-optimized Li2PmGa structure, as listed in the Materials Project database.

```
data_Li2PmGa
_space_group_name_H-M_alt 'P 1'
_space_group_IT_number 1
_space_group_name_Hall 'P 1'
_cell_length_a 4.7590
_cell_length_b 4.7590
_cell_length_c 4.7590
_cell_angle_alpha 60.00
_cell_angle_beta 60.00
_cell_angle_gamma 60.00
loop_
_atom_site_label
_atom_site_type_symbol
_atom_site_fract_x
_atom_site_fract_y
_atom_site_fract_z
Li1 Li 0.2500 0.2500 0.2500
Li2 Li 0.7500 0.7500 0.7500
Pm1 Pm 0.0000 0.0000 0.0000
Ga1 Ga 0.5000 0.5000 0.5000
```

Results
raw total energy = -3.177 eV/atom
DFT formation energy = -0.28 eV per atom
symmetry = Fm-3m, No. 225



(5)
First-principles (GGA-PBE) data for a geometry-optimized LiPm2Ga structure, as listed in the Materials Project database.

```
data_LiPm2Ga
_space_group_name_H-M_alt 'P 1'
_space_group_IT_number 1
_space_group_name_Hall 'P 1'
_cell_length_a 5.2281
_cell_length_b 5.2281
_cell_length_c 5.2281
_cell_angle_alpha 60.00
_cell_angle_beta 60.00
_cell_angle_gamma 60.00
loop_
_atom_site_label
_atom_site_type_symbol
_atom_site_fract_x
_atom_site_fract_y
_atom_site_fract_z
Li1 Li 0.0000 0.0000 0.0000
Pm1 Pm 0.2500 0.2500 0.2500
Pm2 Pm 0.7500 0.7500 0.7500
Ga1 Ga 0.5000 0.5000 0.5000
```

Results
raw total energy = -3.910 eV/atom
DFT formation energy = -0.30 eV per atom
symmetry = Fm-3m, No. 225



(6)
First-principles (GGA-PBE) data for a geometry-optimized Li2PrGa structure, as listed in the Materials Project database.

```
data_Li2PrGa
_space_group_name_H-M_alt 'P 1'
_space_group_IT_number 1
_space_group_name_Hall 'P 1'
_cell_length_a 4.8160
_cell_length_b 4.8160
_cell_length_c 4.8160
_cell_angle_alpha 60.00
_cell_angle_beta 60.00
_cell_angle_gamma 60.00
loop_
_atom_site_label
_atom_site_type_symbol
_atom_site_fract_x
_atom_site_fract_y
_atom_site_fract_z
Li1 Li 0.2500 0.2500 0.2500
Li2 Li 0.7500 0.7500 0.7500
Pr1 Pr 0.0000 0.0000 0.0000
Ga1 Ga 0.5000 0.5000 0.5000
```

Results
raw total energy = -3.183 eV/atom
DFT formation energy = -0.28 eV per atom
symmetry = Fm-3m, No. 225



(7)
First-principles (GGA-PBE) data for a geometry-optimized LiGa2Pt structure, as listed in the Materials Project database.

```
data_LiGa2Pt
_space_group_name_H-M_alt 'P 1'
_space_group_IT_number 1
_space_group_name_Hall 'P 1'
_cell_length_a 4.3635
_cell_length_b 4.3635
_cell_length_c 4.3635
_cell_angle_alpha 60.00
_cell_angle_beta 60.00
_cell_angle_gamma 60.00
loop_
_atom_site_label
_atom_site_type_symbol
_atom_site_fract_x
_atom_site_fract_y
_atom_site_fract_z
Li1 Li 0.5000 0.5000 0.5000
Ga1 Ga 0.2500 0.2500 0.2500
Ga2 Ga 0.7500 0.7500 0.7500
Pt1 Pt 0.0000 0.0000 0.0000
```

Results
raw total energy = -4.128 eV/atom
DFT formation energy = -0.62 eV per atom
symmetry = Fm-3m, No. 225



(8)
First-principles (GGA-PBE) data for a geometry-optimized Li2GaRh structure, as listed in the Materials Project database.

```
data_Li2GaRh
_space_group_name_H-M_alt 'P 1'
_space_group_IT_number 1
_space_group_name_Hall 'P 1'
_cell_length_a 4.2479
_cell_length_b 4.2479
_cell_length_c 4.2479
_cell_angle_alpha 60.00
_cell_angle_beta 60.00
_cell_angle_gamma 60.00
loop_
_atom_site_label
_atom_site_type_symbol
_atom_site_fract_x
_atom_site_fract_y
_atom_site_fract_z
Li1 Li 0.5000 0.5000 0.5000
Li2 Li 0.7500 0.7500 0.7500
Ga1 Ga 0.2500 0.2500 0.2500
Rh1 Rh 0.0000 0.0000 0.0000
```

Results
raw total energy = -4.040 eV/atom
DFT formation energy = -0.49 eV per atom
symmetry = F-43m, No. 216



(9)
First-principles (GGA-PBE) data for a geometry-optimized LiGa2Rh structure, as listed in the Materials Project database.

```
data_LiGa2Rh
_space_group_name_H-M_alt 'P 1'
_space_group_IT_number 1
_space_group_name_Hall 'P 1'
_cell_length_a 4.3055
_cell_length_b 4.3055
_cell_length_c 4.3055
_cell_angle_alpha 60.00
_cell_angle_beta 60.00
_cell_angle_gamma 60.00
loop_
_atom_site_label
_atom_site_type_symbol
_atom_site_fract_x
_atom_site_fract_y
_atom_site_fract_z
Li1 Li 0.5000 0.5000 0.5000
Ga1 Ga 0.2500 0.2500 0.2500
Ga2 Ga 0.7500 0.7500 0.7500
Rh1 Rh 0.0000 0.0000 0.0000
```

Results
raw total energy = -4.383 eV/atom
DFT formation energy = -0.55 eV per atom
symmetry = Fm-3m, No. 225



(10)
First-principles (GGA-PBE) data for a geometry-optimized LiGa2Ru structure, as listed in the Materials Project database.

```
data_LiGa2Ru
_space_group_name_H-M_alt 'P 1'
_space_group_IT_number 1
_space_group_name_Hall 'P 1'
_cell_length_a 4.2866
_cell_length_b 4.2866
_cell_length_c 4.2866
_cell_angle_alpha 60.00
_cell_angle_beta 60.00
_cell_angle_gamma 60.00
loop_
_atom_site_label
_atom_site_type_symbol
_atom_site_fract_x
_atom_site_fract_y
_atom_site_fract_z
Li1 Li 0.5000 0.5000 0.5000
Ga1 Ga 0.2500 0.2500 0.2500
Ga2 Ga 0.7500 0.7500 0.7500
Ru1 Ru 0.0000 0.0000 0.0000
```

Results
raw total energy = -4.659 eV/atom
DFT formation energy = -0.35 eV per atom
symmetry = Fm-3m, No. 225



(11)
First-principles (GGA-PBE) data for a geometry-optimized Li2GaSb structure, as listed in the Materials Project database.

```
data_Li2GaSb
_space_group_name_H-M_alt 'P 1'
_space_group_IT_number 1
_space_group_name_Hall 'P 1'
_cell_length_a 4.7668
_cell_length_b 4.7668
_cell_length_c 4.7668
_cell_angle_alpha 60.00
_cell_angle_beta 60.00
_cell_angle_gamma 60.00
loop_
_atom_site_label
_atom_site_type_symbol
_atom_site_fract_x
_atom_site_fract_y
_atom_site_fract_z
Li1 Li 0.2500 0.2500 0.2500
Li2 Li 0.7500 0.7500 0.7500
Ga1 Ga 0.0000 0.0000 0.0000
Sb1 Sb 0.5000 0.5000 0.5000
```

Results
raw total energy = -3.145 eV/atom
DFT formation energy = -0.45 eV per atom
symmetry = Fm-3m, No. 225



(12)
First-principles (GGA-PBE) data for a geometry-optimized Li2GaSi structure, as listed in the Materials Project database.

```
data_Li2GaSi
_space_group_name_H-M_alt 'P 1'
_space_group_IT_number 1
_space_group_name_Hall 'P 1'
_cell_length_a 4.4561
_cell_length_b 4.4561
_cell_length_c 4.4561
_cell_angle_alpha 60.00
_cell_angle_beta 60.00
_cell_angle_gamma 60.00
loop_
_atom_site_label
_atom_site_type_symbol
_atom_site_fract_x
_atom_site_fract_y
_atom_site_fract_z
Li1 Li 0.7500 0.7500 0.7500
Li2 Li 0.0000 0.0000 0.0000
Ga1 Ga 0.2500 0.2500 0.2500
Si1 Si 0.5000 0.5000 0.5000
```

Results
raw total energy = -3.174 eV/atom
DFT formation energy = -0.09 eV per atom
symmetry = F-43m, No. 216